No. 1
TmB4Rh | the Materials Project database | r2SCAN | optimized geometry; DFT formation energy = -0.695 eV/atom
1.0
-3.362 -0.356 0.993
-0.853 -3.958 -4.310
3.006 -8.439 7.154
B Tm Rh
16 4 4
Cartesian
-0.366 -6.330 2.743
0.923 -9.803 5.862
-1.723 -4.562 -1.218
0.514 -8.192 5.054
0.426 -11.730 3.488
-1.635 -1.024 0.349
-0.824 -8.076 0.565
-0.918 -3.643 1.836
-1.119 -1.895 1.783
-0.843 -6.423 1.094
-0.290 -9.111 2.000
-0.385 -4.678 3.272
-0.005 -7.919 3.395
-1.203 -4.834 0.442
-0.090 -10.858 2.054
-2.132 -2.950 -2.025
0.315 -6.401 -1.229
2.020 -9.684 3.367
1.838 -5.996 4.074
0.133 -2.713 -0.523
0.913 -4.833 1.359
2.599 -8.203 5.860
1.240 -7.565 1.485
-0.446 -4.194 -3.016



No. 2
NpP3 | the Materials Project database | r2SCAN | optimized geometry; DFT formation energy = -0.530 eV/atom
1.0
-1.864 -4.945 -1.616
3.180 2.995 -3.384
4.461 -2.367 2.097
Np P
2 6
Cartesian
4.844 -1.427 -1.222
0.933 -2.890 -1.681
2.458 -5.184 -0.385
2.537 -1.208 -3.195
3.240 -3.109 0.293
1.985 -0.390 -1.098
3.319 0.867 -2.518
3.792 -3.928 -1.805



No. 3
ZrZn3 | the Materials Project database | r2SCAN | optimized geometry; DFT formation energy = -0.316 eV/atom
1.0
5.847 0.000 0.000
-2.924 5.064 0.000
0.000 0.000 4.331
Zn Zr
6 2
Cartesian
2.924 3.478 3.248
1.550 4.271 1.083
-1.550 4.271 1.083
0.000 1.586 1.083
1.374 0.793 3.248
4.474 0.793 3.248
2.924 1.688 1.083
0.000 3.376 3.248



No. 4
HoPaRu2 | the Materials Project database | r2SCAN | optimized geometry; DFT formation energy = -0.458 eV/atom
1.0
-4.337 -1.131 1.745
-3.309 3.434 0.629
-3.863 0.170 -2.861
Ru Pa Ho
2 1 1
Cartesian
-2.877 0.618 -0.122
-8.632 1.855 -0.365
0.000 0.000 0.000
-5.754 1.237 -0.243



No. 5
YbCuGe | the Materials Project database | r2SCAN | optimized geometry; DFT formation energy = -0.360 eV/atom
1.0
-2.437 3.503 0.195
0.500 -2.050 -3.714
-5.672 -4.027 1.459
Yb Ge Cu
2 2 2
Cartesian
-1.325 -0.941 0.341
-4.347 -3.086 1.118
-3.093 -2.055 -1.738
-4.515 -0.519 -0.322
-0.553 -0.252 -2.392
-7.055 -2.322 0.332



No. 6
Ho2CuOs | the Materials Project database | r2SCAN | optimized geometry; DFT formation energy = -0.334 eV/atom
1.0
0.595 -3.638 3.065
-0.849 0.641 4.674
-3.815 -2.058 2.047
Os Ho Cu
1 2 1
Cartesian
0.000 0.000 0.000
-1.017 -1.264 2.447
-3.052 -3.791 7.340
-2.035 -2.527 4.893



No. 7
CoO | the Materials Project database | r2SCAN | optimized geometry; DFT formation energy = -1.052 eV/atom
1.0
0.063 -1.977 2.270
1.892 2.502 4.123
-2.582 1.361 -0.741
O Co
2 2
Cartesian
0.820 0.734 4.610
-1.448 1.152 1.043
0.000 0.000 0.000
-0.314 0.943 2.826



No. 8
Y5GaCo5 | the Materials Project database | r2SCAN | optimized geometry; DFT formation energy = -0.204 eV/atom
1.0
2.108 -5.133 0.000
2.108 5.133 0.000
0.000 0.000 20.150
Y Co Ga
10 10 2
Cartesian
2.108 -4.971 6.949
2.108 -2.321 11.410
2.108 4.971 13.202
2.108 2.321 8.740
2.108 -2.371 15.113
2.108 -2.321 18.815
2.108 2.371 5.038
2.108 4.971 17.024
2.108 -4.971 3.126
2.108 2.321 1.335
2.108 1.805 17.092
2.108 0.680 19.083
2.108 -0.754 5.038
2.108 -1.805 3.058
2.108 1.805 13.134
2.108 0.754 15.113
2.108 0.680 11.143
2.108 -0.680 1.067
2.108 -0.680 9.008
2.108 -1.805 7.017
0.000 0.000 10.075
0.000 0.000 0.000



No. 9
NdSiPt3 | the Materials Project database | r2SCAN | optimized geometry; DFT formation energy = -1.166 eV/atom
1.0
-2.641 -2.500 1.888
2.237 -3.234 -1.153
2.919 0.382 4.589
Nd Pt Si
1 3 1
Cartesian
1.840 -2.600 3.578
1.602 0.210 2.520
1.689 -1.542 0.320
-0.750 -1.175 1.841
2.827 0.370 4.446



No. 10
EuOF | the Materials Project database | r2SCAN | optimized geometry; DFT formation energy = -3.538 eV/atom
1.0
6.520 -1.954 -0.001
6.520 1.954 -0.001
5.935 0.000 3.332
Eu O F
2 2 2
Cartesian
14.371 0.000 2.522
4.602 0.000 0.808
2.327 0.000 0.408
16.647 0.000 2.921
7.032 0.000 1.234
11.942 0.000 2.096



No. 11
Co7NiP4 | the Materials Project database | r2SCAN | optimized geometry; DFT formation energy = -0.408 eV/atom
1.0
-0.576 3.367 0.580
-5.140 -0.545 -1.939
-2.143 -1.399 5.998
Co P Ni
7 4 1
Cartesian
-2.270 0.495 5.224
-3.851 -1.501 4.892
-1.940 1.000 2.623
-5.588 -1.256 1.742
-3.083 -0.718 1.109
-3.750 1.239 -0.565
-5.363 -0.765 -0.888
-2.564 -1.001 3.267
-4.963 0.746 1.090
-1.863 1.374 0.524
-5.760 -1.644 3.828
-4.427 0.467 3.245



No. 12
Na2Cr3Se6 | the Materials Project database | r2SCAN | optimized geometry; DFT formation energy = -0.974 eV/atom
1.0
1.776 -4.466 -3.997
4.278 3.575 2.827
2.379 -4.963 4.976
Cr Na Se
3 2 6
Cartesian
3.445 0.897 0.554
0.000 0.000 0.000
2.610 -1.788 -1.724
3.382 -5.610 -0.374
5.052 -0.244 4.180
5.534 -0.348 1.255
4.699 -3.033 -1.023
3.735 -2.821 4.829
6.333 -4.605 3.104
2.101 -1.249 0.702
2.899 -5.506 2.550



Total energy, respectively: -92.811 -112.149 -50.747 -162.417 -62.329 -130.931 -21.310 -181.429 -198.484 -58.234 -145.525 -148.933 eV per formula unit.